(1)
DFT (PBE+U) results for a relaxed Na2Ni3O5 crystal. Values from VASP.

Size of the total moment ... 8.0 μB per cell
DFT formation energy ... -12.87 eV per formula unit
Space-group type ... No. 2
ρ ... 5.08 g/cm³
Uncorrected energy ... -93.071 eV per cell

```
&SYSTEM
  ibrav = 0, nat = 20, ntyp = 3
/
ATOMIC_SPECIES
Na 22.99 Na.upf
Ni 58.69 Ni.upf
O 16.00 O.upf
ATOMIC_POSITIONS crystal
Na 0.801 0.099 0.605
Na 0.599 0.701 0.195
Na 0.407 0.303 0.806
Na 0.993 0.497 0.994
Ni 0.801 0.602 0.593
Ni 0.599 0.198 0.207
Ni 0.403 0.800 0.794
Ni 0.200 0.400 0.400
Ni 0.200 0.900 0.400
Ni 0.997 0.000 0.006
O 0.934 0.085 0.309
O 0.923 0.533 0.319
O 0.694 0.109 0.920
O 0.706 0.691 0.880
O 0.477 0.267 0.481
O 0.466 0.715 0.491
O 0.271 0.318 0.128
O 0.277 0.875 0.101
O 0.129 0.482 0.672
O 0.123 0.925 0.699
CELL_PARAMETERS angstrom
5.099 -0.859 -0.012
-1.500 1.275 5.789
-2.163 -6.502 -0.992
```


(2)
DFT (PBE+U) results for a relaxed NaNi2O3 crystal. Values from VASP.

Size of the total moment ... 3.0 μB per cell
DFT formation energy ... -7.65 eV per formula unit
Space-group type ... No. 164
ρ ... 5.17 g/cm³
Uncorrected energy ... -28.229 eV per cell

```
&SYSTEM
  ibrav = 0, nat = 6, ntyp = 3
/
ATOMIC_SPECIES
Na 22.99 Na.upf
Ni 58.69 Ni.upf
O 16.00 O.upf
ATOMIC_POSITIONS crystal
Na 0.000 0.000 0.500
Ni 0.333 0.667 0.162
Ni 0.667 0.333 0.838
O 0.333 0.667 0.708
O 0.000 0.000 0.000
O 0.667 0.333 0.292
CELL_PARAMETERS angstrom
3.009 0.000 0.000
-1.504 2.606 0.001
0.000 0.002 7.720
```


(3)
DFT (PBE+U) results for a relaxed Na2NiO3 crystal. Values from VASP.

Size of the total moment ... 0.0 μB per cell
DFT formation energy ... -7.70 eV per formula unit
Space-group type ... No. 15
Relative energy among the computed polymorphs ... 0.004 eV/atom
ρ ... 4.08 g/cm³
Uncorrected energy ... -105.455 eV per cell

```
&SYSTEM
  ibrav = 0, nat = 24, ntyp = 3
/
ATOMIC_SPECIES
Na 22.99 Na.upf
Ni 58.69 Ni.upf
O 16.00 O.upf
ATOMIC_POSITIONS crystal
Na 0.842 0.684 0.999
Na 0.684 0.842 0.499
Na 0.000 0.500 0.500
Na 0.916 0.084 0.750
Na 0.084 0.916 0.250
Na 0.316 0.158 0.501
Na 0.500 0.000 0.000
Na 0.158 0.316 0.001
Ni 0.583 0.417 0.750
Ni 0.250 0.750 0.750
Ni 0.417 0.583 0.250
Ni 0.750 0.250 0.250
O 0.949 0.741 0.652
O 0.882 0.429 0.848
O 0.741 0.949 0.152
O 0.504 0.672 0.848
O 0.429 0.882 0.348
O 0.672 0.504 0.348
O 0.328 0.496 0.652
O 0.571 0.118 0.652
O 0.496 0.328 0.152
O 0.259 0.051 0.848
O 0.118 0.571 0.152
O 0.051 0.259 0.348
CELL_PARAMETERS angstrom
4.505 2.601 0.000
-4.505 2.601 0.000
0.000 1.805 10.607
```


(4)
DFT (PBE+U) results for a relaxed NaNi2O3 crystal. Values from VASP.

Size of the total moment ... 8.0 μB per cell
DFT formation energy ... -7.59 eV per formula unit
Space-group type ... No. 10
ρ ... 5.26 g/cm³
Uncorrected energy ... -112.702 eV per cell

```
&SYSTEM
  ibrav = 0, nat = 24, ntyp = 3
/
ATOMIC_SPECIES
Na 22.99 Na.upf
Ni 58.69 Ni.upf
O 16.00 O.upf
ATOMIC_POSITIONS crystal
Na 0.500 0.500 0.330
Na 0.500 0.000 0.830
Na 0.500 0.500 0.670
Na 0.500 0.000 0.170
Ni 0.500 0.000 0.500
Ni 0.000 0.000 0.000
Ni 0.000 0.500 0.500
Ni 0.500 0.500 0.000
Ni 0.000 0.500 0.835
Ni 0.000 0.000 0.336
Ni 0.000 0.500 0.165
Ni 0.000 0.000 0.664
O 0.243 0.287 0.000
O 0.234 0.783 0.500
O 0.757 0.713 0.000
O 0.766 0.217 0.500
O 0.210 0.766 0.151
O 0.209 0.260 0.651
O 0.210 0.766 0.849
O 0.209 0.260 0.349
O 0.790 0.234 0.849
O 0.791 0.740 0.349
O 0.790 0.234 0.151
O 0.791 0.740 0.651
CELL_PARAMETERS angstrom
5.338 -0.015 -0.011
1.791 -4.224 -2.586
-0.003 4.702 -7.681
```


(5)
DFT (PBE+U) results for a relaxed NaNi5O6 crystal. Values from VASP.

Size of the total moment ... 0.0 μB per cell
DFT formation energy ... -14.63 eV per formula unit
Space-group type ... No. 5
Relative energy among the computed polymorphs ... 0.006 eV/atom
ρ ... 5.93 g/cm³
Uncorrected energy ... -115.438 eV per cell

```
&SYSTEM
  ibrav = 0, nat = 24, ntyp = 3
/
ATOMIC_SPECIES
Na 22.99 Na.upf
Ni 58.69 Ni.upf
O 16.00 O.upf
ATOMIC_POSITIONS crystal
Na 0.424 0.088 0.250
Na 0.912 0.576 0.750
Ni 0.167 0.833 0.500
Ni 0.502 0.498 0.500
Ni 0.331 0.668 0.000
Ni 0.752 0.754 0.251
Ni 0.246 0.248 0.749
Ni 0.664 0.336 0.000
Ni 0.002 0.998 0.000
Ni 0.831 0.169 0.500
Ni 0.089 0.417 0.251
Ni 0.583 0.911 0.749
O 0.823 0.487 0.382
O 0.297 0.978 0.888
O 0.022 0.703 0.112
O 0.513 0.177 0.618
O 0.380 0.405 0.122
O 0.873 0.892 0.621
O 0.460 0.772 0.378
O 0.954 0.258 0.884
O 0.743 0.046 0.116
O 0.228 0.540 0.622
O 0.108 0.127 0.379
O 0.595 0.620 0.878
CELL_PARAMETERS angstrom
4.514 -2.591 0.044
0.014 5.204 0.006
-1.576 -0.860 9.799
```


(6)
DFT (PBE+U) results for a relaxed Na3Ni2O4 crystal. Values from VASP.

Size of the total moment ... 2.0 μB per cell
DFT formation energy ... -11.58 eV per formula unit
Space-group type ... No. 63
Relative energy among the computed polymorphs ... 0.000 eV/atom
ρ ... 3.52 g/cm³
Uncorrected energy ... -78.139 eV per cell

```
&SYSTEM
  ibrav = 0, nat = 18, ntyp = 3
/
ATOMIC_SPECIES
Na 22.99 Na.upf
Ni 58.69 Ni.upf
O 16.00 O.upf
ATOMIC_POSITIONS crystal
Na 0.649 0.351 0.065
Na 0.649 0.351 0.435
Na 0.351 0.649 0.565
Na 0.314 0.686 0.250
Na 0.686 0.314 0.750
Na 0.351 0.649 0.935
Ni 0.000 0.000 0.000
Ni 0.928 0.072 0.250
Ni 0.000 0.000 0.500
Ni 0.072 0.928 0.750
O 0.140 0.296 0.119
O 0.140 0.296 0.381
O 0.296 0.140 0.881
O 0.296 0.140 0.619
O 0.704 0.860 0.381
O 0.704 0.860 0.119
O 0.860 0.704 0.619
O 0.860 0.704 0.881
CELL_PARAMETERS angstrom
2.825 -3.986 0.000
2.825 3.986 0.000
0.000 0.000 10.483
```


(7)
DFT (PBE+U) results for a relaxed NaNi2O4 crystal. Values from VASP.

Size of the total moment ... 4.0 μB per cell
DFT formation energy ... -7.64 eV per formula unit
Space-group type ... No. 62
Relative energy among the computed polymorphs ... 0.037 eV/atom
ρ ... 4.96 g/cm³
Uncorrected energy ... -129.942 eV per cell

```
&SYSTEM
  ibrav = 0, nat = 28, ntyp = 3
/
ATOMIC_SPECIES
Na 22.99 Na.upf
Ni 58.69 Ni.upf
O 16.00 O.upf
ATOMIC_POSITIONS crystal
Na 0.750 0.741 0.666
Na 0.250 0.759 0.166
Na 0.750 0.241 0.834
Na 0.250 0.259 0.334
Ni 0.750 0.562 0.888
Ni 0.750 0.586 0.405
Ni 0.250 0.914 0.905
Ni 0.250 0.938 0.388
Ni 0.750 0.062 0.612
Ni 0.750 0.086 0.095
Ni 0.250 0.414 0.595
Ni 0.250 0.438 0.112
O 0.250 0.536 0.298
O 0.750 0.573 0.077
O 0.250 0.619 0.519
O 0.250 0.699 0.847
O 0.750 0.801 0.347
O 0.750 0.881 0.019
O 0.250 0.927 0.577
O 0.750 0.964 0.798
O 0.250 0.036 0.202
O 0.750 0.073 0.423
O 0.250 0.119 0.981
O 0.250 0.199 0.653
O 0.750 0.301 0.153
O 0.750 0.381 0.481
O 0.250 0.427 0.923
O 0.750 0.464 0.702
CELL_PARAMETERS angstrom
-2.845 -0.269 -0.046
0.664 -5.913 -6.498
0.637 -7.986 7.333
```


(8)
DFT (PBE+U) results for a relaxed NaNi2O4 crystal. Values from VASP.

Size of the total moment ... 4.0 μB per cell
DFT formation energy ... -7.86 eV per formula unit
Space-group type ... No. 7
Relative energy among the computed polymorphs ... 0.005 eV/atom
ρ ... 4.29 g/cm³
Uncorrected energy ... -130.837 eV per cell

```
&SYSTEM
  ibrav = 0, nat = 28, ntyp = 3
/
ATOMIC_SPECIES
Na 22.99 Na.upf
Ni 58.69 Ni.upf
O 16.00 O.upf
ATOMIC_POSITIONS crystal
Na 0.514 0.000 0.250
Na 0.858 0.500 0.750
Na 0.142 0.500 0.250
Na 0.486 0.000 0.750
Ni 0.501 0.749 0.003
Ni 0.497 0.251 0.996
Ni 0.503 0.251 0.496
Ni 0.499 0.749 0.503
Ni 0.999 0.500 0.000
Ni 0.999 0.000 0.000
Ni 0.001 0.500 0.500
Ni 0.001 0.000 0.500
O 0.670 0.399 0.589
O 0.677 0.090 0.907
O 0.674 0.925 0.590
O 0.674 0.591 0.909
O 0.833 0.672 0.088
O 0.832 0.329 0.412
O 0.821 0.151 0.086
O 0.818 0.853 0.414
O 0.179 0.151 0.586
O 0.182 0.853 0.914
O 0.167 0.672 0.588
O 0.168 0.329 0.912
O 0.326 0.591 0.409
O 0.323 0.090 0.407
O 0.326 0.925 0.090
O 0.330 0.399 0.089
CELL_PARAMETERS angstrom
4.871 0.000 0.000
0.000 5.771 0.000
0.000 5.694 11.261
```


(9)
DFT (PBE+U) results for a relaxed Na4NiO4 crystal. Values from VASP.

Size of the total moment ... 32.0 μB per cell
DFT formation energy ... -11.53 eV per formula unit
Space-group type ... No. 1
ρ ... 2.67 g/cm³
Uncorrected energy ... -296.815 eV per cell

```
&SYSTEM
  ibrav = 0, nat = 72, ntyp = 3
/
ATOMIC_SPECIES
Na 22.99 Na.upf
Ni 58.69 Ni.upf
O 16.00 O.upf
ATOMIC_POSITIONS crystal
Na 0.138 0.178 0.863
Na 0.148 0.333 0.362
Na 0.205 0.644 0.140
Na 0.271 0.516 0.612
Na 0.257 0.563 0.792
Na 0.261 0.940 0.292
Na 0.317 0.063 0.500
Na 0.329 0.408 0.002
Na 0.391 0.343 0.238
Na 0.374 0.119 0.742
Na 0.369 0.881 0.920
Na 0.385 0.606 0.414
Na 0.550 0.065 0.058
Na 0.564 0.429 0.557
Na 0.591 0.615 0.754
Na 0.595 0.876 0.255
Na 0.652 0.591 0.003
Na 0.664 0.903 0.505
Na 0.687 0.095 0.682
Na 0.692 0.397 0.180
Na 0.699 0.549 0.368
Na 0.690 0.941 0.868
Na 0.804 0.086 0.365
Na 0.798 0.409 0.862
Na 0.842 0.587 0.673
Na 0.846 0.926 0.178
Na 0.883 0.393 0.504
Na 0.871 0.096 0.006
Na 0.967 0.017 0.742
Na 0.956 0.452 0.245
Na 0.011 0.901 0.547
Na 0.968 0.584 0.052
Ni 0.072 0.178 0.131
Ni 0.056 0.309 0.635
Ni 0.478 0.667 0.126
Ni 0.470 0.839 0.624
Ni 0.534 0.151 0.379
Ni 0.525 0.339 0.878
Ni 0.961 0.696 0.378
Ni 0.952 0.801 0.877
O 0.042 0.892 0.119
O 0.041 0.606 0.620
O 0.154 0.266 0.223
O 0.148 0.263 0.724
O 0.138 0.342 0.059
O 0.132 0.216 0.551
O 0.125 0.774 0.867
O 0.133 0.734 0.372
O 0.352 0.248 0.879
O 0.359 0.234 0.379
O 0.391 0.776 0.043
O 0.401 0.712 0.536
O 0.386 0.737 0.704
O 0.392 0.733 0.212
O 0.486 0.374 0.114
O 0.470 0.133 0.615
O 0.536 0.644 0.882
O 0.550 0.848 0.383
O 0.604 0.244 0.789
O 0.613 0.246 0.290
O 0.640 0.226 0.956
O 0.650 0.267 0.455
O 0.644 0.737 0.630
O 0.649 0.771 0.130
O 0.884 0.206 0.634
O 0.891 0.287 0.131
O 0.865 0.786 0.456
O 0.852 0.712 0.953
O 0.843 0.727 0.792
O 0.851 0.769 0.293
O 0.931 0.391 0.375
O 0.923 0.107 0.876
CELL_PARAMETERS angstrom
-5.619 5.682 -6.102
1.254 -3.695 -4.634
-13.617 -10.127 4.426
```


(10)
DFT (PBE+U) results for a relaxed Na9Ni11O20 crystal. Values from VASP.

DFT formation energy ... -52.31 eV per formula unit
Space-group type ... No. 2
ρ ... 4.87 g/cm³
Uncorrected energy ... -185.058 eV per cell

```
&SYSTEM
  ibrav = 0, nat = 40, ntyp = 3
/
ATOMIC_SPECIES
Na 22.99 Na.upf
Ni 58.69 Ni.upf
O 16.00 O.upf
ATOMIC_POSITIONS crystal
Na 0.902 0.902 0.396
Na 0.899 0.401 0.899
Na 0.698 0.698 0.204
Na 0.499 0.503 0.003
Na 0.701 0.199 0.701
Na 0.300 0.800 0.300
Na 0.501 0.997 0.500
Na 0.099 0.603 0.100
Na 0.101 0.097 0.597
Ni 0.800 0.800 0.800
Ni 0.800 0.300 0.300
Ni 0.595 0.102 0.093
Ni 0.600 0.598 0.605
Ni 0.396 0.908 0.894
Ni 0.401 0.399 0.407
Ni 0.204 0.692 0.706
Ni 0.199 0.201 0.193
Ni 0.300 0.300 0.800
Ni 0.000 0.002 0.995
Ni 0.005 0.498 0.507
O 0.960 0.417 0.222
O 0.965 0.912 0.724
O 0.823 0.875 0.064
O 0.777 0.725 0.536
O 0.848 0.377 0.577
O 0.752 0.223 0.023
O 0.438 0.986 0.178
O 0.559 0.521 0.330
O 0.640 0.183 0.378
O 0.635 0.688 0.876
O 0.429 0.465 0.693
O 0.533 0.045 0.814
O 0.355 0.320 0.105
O 0.352 0.817 0.620
O 0.162 0.614 0.422
O 0.245 0.280 0.495
O 0.248 0.783 0.980
O 0.171 0.135 0.907
O 0.067 0.555 0.786
O 0.041 0.079 0.270
CELL_PARAMETERS angstrom
5.912 4.298 -2.634
-2.164 6.293 -4.528
-0.026 3.957 5.834
```


(11)
DFT (PBE+U) results for a relaxed NaNi5O6 crystal. Values from VASP.

Size of the total moment ... 0.0 μB per cell
DFT formation energy ... -14.67 eV per formula unit
Space-group type ... No. 5
Relative energy among the computed polymorphs ... 0.003 eV/atom
ρ ... 5.97 g/cm³
Uncorrected energy ... -115.499 eV per cell

```
&SYSTEM
  ibrav = 0, nat = 24, ntyp = 3
/
ATOMIC_SPECIES
Na 22.99 Na.upf
Ni 58.69 Ni.upf
O 16.00 O.upf
ATOMIC_POSITIONS crystal
Na 0.417 0.084 0.250
Na 0.916 0.583 0.750
Ni 0.501 0.499 0.500
Ni 0.332 0.668 0.000
Ni 0.831 0.169 0.500
Ni 0.746 0.750 0.250
Ni 0.250 0.254 0.750
Ni 0.665 0.335 0.000
Ni 0.171 0.829 0.500
Ni 0.003 0.997 0.000
Ni 0.089 0.419 0.250
Ni 0.581 0.911 0.750
O 0.816 0.469 0.386
O 0.301 0.980 0.886
O 0.020 0.699 0.114
O 0.531 0.184 0.614
O 0.377 0.399 0.123
O 0.875 0.907 0.617
O 0.458 0.770 0.377
O 0.956 0.259 0.883
O 0.741 0.044 0.117
O 0.230 0.542 0.623
O 0.093 0.125 0.383
O 0.601 0.623 0.877
CELL_PARAMETERS angstrom
4.506 -2.568 0.064
0.030 5.187 0.025
-1.514 -0.825 9.762
```


(12)
DFT (PBE+U) results for a relaxed NaNi5O6 crystal. Values from VASP.

Size of the total moment ... 5.0 μB per cell
DFT formation energy ... -14.71 eV per formula unit
Space-group type ... No. 5
Relative energy among the computed polymorphs ... 0.000 eV/atom
ρ ... 5.93 g/cm³
Uncorrected energy ... -57.790 eV per cell

```
&SYSTEM
  ibrav = 0, nat = 12, ntyp = 3
/
ATOMIC_SPECIES
Na 22.99 Na.upf
Ni 58.69 Ni.upf
O 16.00 O.upf
ATOMIC_POSITIONS crystal
Na 0.500 0.167 0.833
Ni 0.500 0.834 0.166
Ni 0.000 0.667 0.333
Ni 0.000 0.002 0.998
Ni 0.000 0.331 0.669
Ni 0.500 0.499 0.501
O 0.766 0.431 0.098
O 0.234 0.902 0.569
O 0.240 0.258 0.280
O 0.758 0.081 0.391
O 0.242 0.609 0.919
O 0.760 0.720 0.742
CELL_PARAMETERS angstrom
-0.320 -5.109 0.977
-2.462 0.133 4.591
-2.555 -1.555 -4.268
```


What did the eleventh record say?
DFT (PBE+U) results for a relaxed NaNi5O6 crystal. Values from VASP.

Size of the total moment ... 0.0 μB per cell
DFT formation energy ... -14.67 eV per formula unit
Space-group type ... No. 5
Relative energy among the computed polymorphs ... 0.003 eV/atom
ρ ... 5.97 g/cm³
Uncorrected energy ... -115.499 eV per cell

```
&SYSTEM
  ibrav = 0, nat = 24, ntyp = 3
/
ATOMIC_SPECIES
Na 22.99 Na.upf
Ni 58.69 Ni.upf
O 16.00 O.upf
ATOMIC_POSITIONS crystal
Na 0.417 0.084 0.250
Na 0.916 0.583 0.750
Ni 0.501 0.499 0.500
Ni 0.332 0.668 0.000
Ni 0.831 0.169 0.500
Ni 0.746 0.750 0.250
Ni 0.250 0.254 0.750
Ni 0.665 0.335 0.000
Ni 0.171 0.829 0.500
Ni 0.003 0.997 0.000
Ni 0.089 0.419 0.250
Ni 0.581 0.911 0.750
O 0.816 0.469 0.386
O 0.301 0.980 0.886
O 0.020 0.699 0.114
O 0.531 0.184 0.614
O 0.377 0.399 0.123
O 0.875 0.907 0.617
O 0.458 0.770 0.377
O 0.956 0.259 0.883
O 0.741 0.044 0.117
O 0.230 0.542 0.623
O 0.093 0.125 0.383
O 0.601 0.623 0.877
CELL_PARAMETERS angstrom
4.506 -2.568 0.064
0.030 5.187 0.025
-1.514 -0.825 9.762
```